A geometry-optimized ThReO3 structure. Source: the Materials Project, functional PBE.

Spin magnetization in Bohr magnetons per cell: 0.0
Energy of formation from the pure elements in eV/atom: -2.092
Crystal system: cubic

Unit cell a=4.0016 b=4.0016 c=4.0016 alpha=90.00 beta=90.00 gamma=90.00
With the nearest neighbours (Å) after each atom.
Space group Pm-3m (No. 221)
Inequivalent atoms, fractional coordinates:
Th1 0.0000 0.0000 0.0000 x1  12 O 2.83
Re1 0.5000 0.5000 0.5000 x1  6 O 2.00
O1 0.0000 0.5000 0.5000 x3  2 Re 2.00